MgC4N6 | the Materials Project | PBE | optimized geometry; VASP energy = -8.029 eV/atom; energy of formation from the pure elements = -188.1 kJ/mol of formula units; spin magnetization = 0.001 μB per cell; calculated density = 1.4 g/cm3
1.0
6.749 0.000 0.000
0.000 7.210 0.000
0.000 0.000 7.465
Mg C N
2 8 12
Cartesian
0.000 0.000 0.000
3.374 3.605 3.732
1.505 1.293 2.602
1.505 1.293 4.863
1.869 4.898 1.130
1.869 4.898 6.335
4.880 2.313 1.130
4.880 2.313 6.335
5.243 5.918 2.602
5.243 5.918 4.863
1.145 0.908 1.554
1.145 0.908 5.911
1.419 5.383 0.000
1.956 1.778 3.732
2.229 4.513 2.178
2.229 4.513 5.287
4.520 2.697 2.178
4.520 2.697 5.287
4.793 5.432 3.732
5.330 1.827 0.000
5.604 6.302 1.554
5.604 6.302 5.911